# 1
Computed, not measured: crystalline LaS2 at its relaxed geometry at the meta-GGA r2SCAN level of DFT.

Properties
Energy of formation from the pure elements = -2.14 eV/atom
Calculated volume = 23.3 Å³ per atom
VASP energy = -17.411 eV per atom
Size of the total moment = 0.00 Bohr magnetons per cell

Cell: 4.1438 8.2116 8.2177 Å, 90.06 90.00 90.00°
Last column: nearest neighbours and their distance in Å.
Fractional positions:
S (0.2637, 0.6347, 0.6259)  5 La 2.90-3.20
S (0.7637, 0.3653, 0.8741)  5 La 2.90-3.20
S (0.8501, 0.0026, 0.6042)  1 S 2.12
La (0.2900, 0.2770, 0.6303)  9 S 2.90-3.24
S (0.3501, 0.9974, 0.8958)  1 S 2.12
La (0.7900, 0.7230, 0.8697)  9 S 2.90-3.24
La (0.7100, 0.7230, 0.3697)  9 S 2.90-3.24
S (0.7363, 0.3653, 0.3741)  5 La 2.90-3.20
La (0.2100, 0.2770, 0.1303)  9 S 2.90-3.24
S (0.1499, 0.9974, 0.3958)  1 S 2.12
S (0.6499, 0.0026, 0.1042)  1 S 2.12
S (0.2363, 0.6347, 0.1259)  5 La 2.90-3.20



# 2
Computed, not measured: crystalline Cs3AsSe4 at its relaxed geometry at the meta-GGA r2SCAN level of DFT.

Properties
Energy of formation from the pure elements = -1.02 eV/atom
Calculated volume = 39.4 Å³ per atom
VASP energy = -19.428 eV per atom
Size of the total moment = 0.00 Bohr magnetons per cell

Cell: 10.1370 10.3297 12.0536 Å, 90.00 90.00 90.00°
Last column: nearest neighbours and their distance in Å.
Fractional positions:
Se (0.1582, 0.4645, 0.0898)  1 As 2.33
As (0.2700, 0.5252, 0.2500)  4 Se 2.32-2.34
Cs (0.0433, 0.8020, 0.0405)  7 Se 3.60-3.82
As (0.7700, 0.9748, 0.2500)  4 Se 2.32-2.34
Cs (0.4567, 0.3020, 0.5405)  7 Se 3.60-3.82
Se (0.5218, 0.5722, 0.7500)  1 As 2.34
Se (0.3418, 0.9645, 0.5898)  1 As 2.33
Cs (0.9567, 0.1980, 0.5405)  7 Se 3.60-3.82
Cs (0.4567, 0.3020, 0.9595)  7 Se 3.60-3.82
Cs (0.5433, 0.6980, 0.4595)  7 Se 3.60-3.82
Cs (0.8449, 0.4096, 0.2500)  5 Se 3.56-3.76
Se (0.7954, 0.7512, 0.2500)  1 As 2.32
As (0.2300, 0.0252, 0.7500)  4 Se 2.32-2.34
Se (0.6582, 0.0355, 0.0898)  1 As 2.33
Se (0.7046, 0.2512, 0.7500)  1 As 2.32
As (0.7300, 0.4748, 0.7500)  4 Se 2.32-2.34
Se (0.1582, 0.4645, 0.4102)  1 As 2.33
Se (0.4782, 0.4278, 0.2500)  1 As 2.34
Cs (0.0433, 0.8020, 0.4595)  7 Se 3.60-3.82
Se (0.0218, 0.9278, 0.7500)  1 As 2.34
Se (0.8418, 0.5355, 0.5898)  1 As 2.33
Se (0.8418, 0.5355, 0.9102)  1 As 2.33
Cs (0.9567, 0.1980, 0.9595)  7 Se 3.60-3.82
Cs (0.6551, 0.9096, 0.7500)  5 Se 3.56-3.76
Se (0.2954, 0.7488, 0.2500)  1 As 2.32
Se (0.3418, 0.9645, 0.9102)  1 As 2.33
Cs (0.3449, 0.0904, 0.2500)  5 Se 3.56-3.76
Se (0.9782, 0.0722, 0.2500)  1 As 2.34
Se (0.2046, 0.2488, 0.7500)  1 As 2.32
Cs (0.5433, 0.6980, 0.0405)  7 Se 3.60-3.82
Se (0.6582, 0.0355, 0.4102)  1 As 2.33
Cs (0.1551, 0.5904, 0.7500)  5 Se 3.56-3.76



# 3
Computed, not measured: crystalline TlPdF3 at its relaxed geometry at the meta-GGA r2SCAN level of DFT.

Properties
Energy of formation from the pure elements = -1.59 eV/atom
Calculated volume = 15.6 Å³ per atom
VASP energy = -18.696 eV per atom
Size of the total moment = 0.00 Bohr magnetons per cell

Cell: 4.2713 4.2714 4.2722 Å, 89.55 89.95 89.78°
Last column: nearest neighbours and their distance in Å.
Fractional positions:
Pd (0.5001, 0.4978, 0.4872)  6 F 2.14
F (0.0001, 0.4964, 0.4857)  2 Pd 2.14
F (0.5015, 0.4999, 0.9871)  2 Pd 2.14
Tl (0.9990, 0.9981, 0.9934)  12 F 2.99-3.06
F (0.4993, 0.9978, 0.4865)  2 Pd 2.14



# 4
Computed, not measured: crystalline KP2H5O8 at its relaxed geometry at the meta-GGA r2SCAN level of DFT.

Properties
Energy of formation from the pure elements = -1.81 eV/atom
Calculated volume = 11.1 Å³ per atom
VASP energy = -7.382 eV per atom
Size of the total moment = 0.00 Bohr magnetons per cell

Cell: 10.5762 7.8086 9.5102 Å, 65.21 90.00 90.00°
Last column: nearest neighbours and their distance in Å.
Fractional positions:
O (0.9237, 0.2091, 0.3782)  1 P 1.51, 2 H 1.51-1.60
O (0.1997, 0.4050, 0.1416)  2 H 1.51-1.55, 1 P 1.52
O (0.7012, 0.0847, 0.7169)  1 H 1.10
O (0.5860, 0.5754, 0.7490)  1 H 1.00
P (0.7745, 0.6492, 0.2097)  4 O 1.51-1.57
H (0.7428, 0.5636, 0.0172)  1 O 1.01
H (0.0776, 0.5652, 0.6966)  1 O 1.00
O (0.7988, 0.0847, 0.2169)  1 H 1.10
H (0.2119, 0.0240, 0.8270)  1 O 1.10
O (0.4140, 0.4246, 0.2510)  1 H 1.00
H (0.9224, 0.4348, 0.3034)  1 O 1.00
O (0.2828, 0.1424, 0.3926)  1 H 1.32
O (0.2988, 0.9153, 0.2831)  1 H 1.10
P (0.2255, 0.3508, 0.7903)  4 O 1.51-1.57
H (0.0834, 0.2998, 0.1301)  1 O 1.03
O (0.5763, 0.2091, 0.8782)  1 P 1.51, 2 H 1.51-1.60
O (0.3003, 0.4050, 0.6416)  2 H 1.51-1.55, 1 P 1.52
O (0.5012, 0.9184, 0.8446)  1 H 1.02
K (0.1237, 0.7900, 0.1360)  6 O 2.72-2.93, 1 H 2.89
O (0.4964, 0.2322, 0.6183)  1 H 1.03
O (0.0036, 0.2322, 0.1183)  1 H 1.03
O (0.7828, 0.8576, 0.1074)  1 H 1.32
H (0.2572, 0.4364, 0.9828)  1 O 1.01
O (0.5036, 0.7678, 0.3817)  1 H 1.03
H (0.4726, 0.8684, 0.9570)  1 O 1.02
P (0.0690, 0.8874, 0.7294)  4 O 1.51-1.56
P (0.5690, 0.1126, 0.7706)  4 O 1.51-1.56
H (0.2881, 0.0240, 0.3270)  1 O 1.10
H (0.5776, 0.4348, 0.8034)  1 O 1.00
O (0.9988, 0.9184, 0.3446)  1 H 1.02
K (0.8763, 0.2100, 0.8640)  6 O 2.72-2.93, 1 H 2.89
H (0.2428, 0.4364, 0.4828)  1 O 1.01
O (0.2172, 0.1424, 0.8926)  1 H 1.32
H (0.5834, 0.7002, 0.3699)  1 O 1.03
O (0.7897, 0.5394, 0.6240)  1 H 1.01
H (0.5274, 0.1316, 0.0430)  1 O 1.02
O (0.0012, 0.0816, 0.6554)  1 H 1.02
H (0.7572, 0.5636, 0.5172)  1 O 1.01
H (0.0274, 0.8684, 0.4570)  1 O 1.02
O (0.7172, 0.8576, 0.6074)  1 H 1.32
O (0.7103, 0.5394, 0.1240)  1 H 1.01
P (0.9310, 0.1126, 0.2706)  4 O 1.51-1.56
P (0.7255, 0.6492, 0.7097)  4 O 1.51-1.57
O (0.0763, 0.7909, 0.6218)  1 P 1.51, 2 H 1.51-1.60
O (0.2103, 0.4606, 0.3760)  1 H 1.01
H (0.4166, 0.2998, 0.6301)  1 O 1.03
O (0.9964, 0.7678, 0.8817)  1 H 1.03
O (0.9140, 0.5754, 0.2490)  1 H 1.00
H (0.9726, 0.1316, 0.5430)  1 O 1.02
O (0.2012, 0.9153, 0.7831)  1 H 1.10
H (0.9166, 0.7002, 0.8699)  1 O 1.03
K (0.3763, 0.7900, 0.6360)  6 O 2.72-2.93, 1 H 2.89
O (0.6997, 0.5950, 0.3584)  2 H 1.51-1.55, 1 P 1.52
P (0.2745, 0.3508, 0.2903)  4 O 1.51-1.57
H (0.7119, 0.9760, 0.6730)  1 O 1.10
O (0.4988, 0.0816, 0.1554)  1 H 1.02
H (0.7881, 0.9760, 0.1730)  1 O 1.10
K (0.6237, 0.2100, 0.3640)  6 O 2.72-2.93, 1 H 2.89
O (0.4237, 0.7909, 0.1218)  1 P 1.51, 2 H 1.51-1.60
P (0.4310, 0.8874, 0.2294)  4 O 1.51-1.56
O (0.2897, 0.4606, 0.8760)  1 H 1.01
H (0.4224, 0.5652, 0.1966)  1 O 1.00
O (0.0860, 0.4246, 0.7510)  1 H 1.00
O (0.8003, 0.5950, 0.8584)  2 H 1.51-1.55, 1 P 1.52



# 5
Computed, not measured: crystalline SrIn4Ir at its relaxed geometry at the meta-GGA r2SCAN level of DFT.

Properties
Energy of formation from the pure elements = -0.48 eV/atom
Calculated volume = 24.3 Å³ per atom
VASP energy = -26.781 eV per atom
Size of the total moment = 0.00 Bohr magnetons per cell

Cell: 4.3518 7.6917 8.7087 Å, 90.00 90.00 90.00°
Last column: nearest neighbours and their distance in Å.
Fractional positions:
In (0.0000, 0.0000, 0.5000)  2 Ir 2.62
Sr (0.0000, 0.3945, 0.2500)  1 Ir 3.20, 10 In 3.38-3.58
In (0.5000, 0.3080, 0.5669)  2 Ir 2.85, 1 In 3.18
In (0.5000, 0.9411, 0.7500)  2 Ir 2.90, 6 In 3.11-3.24
Ir (0.0000, 0.8104, 0.2500)  8 In 2.62-2.90
In (0.0000, 0.0000, 0.0000)  2 Ir 2.62
Sr (0.0000, 0.6055, 0.7500)  1 Ir 3.20, 10 In 3.38-3.58
In (0.5000, 0.0589, 0.2500)  2 Ir 2.90, 6 In 3.11-3.24
In (0.5000, 0.3080, 0.9331)  2 Ir 2.85, 1 In 3.18
Ir (0.0000, 0.1896, 0.7500)  8 In 2.62-2.90
In (0.5000, 0.6920, 0.4331)  2 Ir 2.85, 1 In 3.18
In (0.5000, 0.6920, 0.0669)  2 Ir 2.85, 1 In 3.18



# 6
Computed, not measured: crystalline CsCOF3 at its relaxed geometry at the meta-GGA r2SCAN level of DFT.

Properties
Energy of formation from the pure elements = -2.10 eV/atom
Calculated volume = 17.9 Å³ per atom
VASP energy = -10.503 eV per atom
Size of the total moment = 0.00 Bohr magnetons per cell

Cell: 7.6989 5.9065 9.4249 Å, 89.27 90.00 90.00°
Last column: nearest neighbours and their distance in Å.
Fractional positions:
C (0.7048, 0.7348, 0.4326)  1 O 1.23
F (0.1200, 0.2405, 0.9353)  1 C 1.41
F (0.0667, 0.2296, 0.1661)  1 C 1.43
O (0.7935, 0.5646, 0.4165)  1 C 1.23
F (0.7960, 0.9479, 0.4202)  1 C 1.44
C (0.2048, 0.2652, 0.0674)  1 O 1.23
Cs (0.8419, 0.2647, 0.6800)  3 O 3.05-3.11, 7 F 3.11-3.41
F (0.5667, 0.7704, 0.3339)  1 C 1.43
F (0.8800, 0.7595, 0.0647)  1 C 1.41
F (0.7040, 0.9479, 0.9202)  1 C 1.44
C (0.7952, 0.7348, 0.9326)  1 O 1.23
F (0.2040, 0.0521, 0.5798)  1 C 1.44
F (0.4333, 0.2296, 0.6661)  1 C 1.43
O (0.7065, 0.5646, 0.9165)  1 C 1.23
Cs (0.3419, 0.7353, 0.8200)  3 O 3.05-3.11, 7 F 3.11-3.41
C (0.2952, 0.2652, 0.5674)  1 O 1.23
Cs (0.6581, 0.2647, 0.1800)  3 O 3.05-3.11, 7 F 3.11-3.41
F (0.3800, 0.2405, 0.4353)  1 C 1.41
F (0.2960, 0.0521, 0.0798)  1 C 1.44
O (0.2065, 0.4354, 0.5835)  1 C 1.23
F (0.6200, 0.7595, 0.5647)  1 C 1.41
F (0.9333, 0.7704, 0.8339)  1 C 1.43
Cs (0.1581, 0.7353, 0.3200)  3 O 3.05-3.11, 7 F 3.11-3.41
O (0.2935, 0.4354, 0.0835)  1 C 1.23